[1]
Rb3TiF7: optimized geometry, PBE-GGA.

a b c (Å): 8.294 8.294 6.045
angles (deg): 90.00 90.00 90.00
Space group P4/mbm (No. 127)
Inequivalent atoms, fractional coordinates:
Rb  0.000  0.000  0.000 (multiplicity 2)
Rb  0.193  0.307  0.500 (multiplicity 4)
Ti  0.000  0.500  0.000 (multiplicity 2)
F  0.000  0.000  0.500 (multiplicity 2)
F  0.112  0.612  0.225 (multiplicity 8)
F  0.161  0.339  0.000 (multiplicity 4)

Results
The calculated density comes out at 3.5 g/cm³. For the energy of formation from the pure elements, the calculation gives -329.7 kJ/mol of atoms.

[2]
SmZr6P9O36: optimized geometry, PBE-GGA.

a b c (Å): 8.9314 8.9314 23.1771
angles (deg): 90.00 90.00 120.00
Space group P-3c1 (No. 165)
Inequivalent atoms, fractional coordinates:
Sm  0.0000  0.0000  0.0000 (multiplicity 2)
Zr  0.0000  0.0000  0.1501 (multiplicity 4)
Zr  0.3333  0.6667  0.0266 (multiplicity 4)
Zr  0.3333  0.6667  0.3131 (multiplicity 4)
P  0.0000  0.2922  0.2500 (multiplicity 6)
P  0.0532  0.3739  0.9207 (multiplicity 12)
O  0.0069  0.1775  0.9195 (multiplicity 12)
O  0.0309  0.2052  0.1964 (multiplicity 12)
O  0.1163  0.4933  0.5728 (multiplicity 12)
O  0.1441  0.4646  0.8646 (multiplicity 12)
O  0.1591  0.4683  0.2604 (multiplicity 12)
O  0.1728  0.4530  0.9731 (multiplicity 12)

Results
The calculated density comes out at 3.2 g/cm³. For the energy of formation from the pure elements, the calculation gives -312.5 kJ/mol of atoms.

[3]
SiO2: optimized geometry, PBE-GGA.

a b c (Å): 9.749 20.486 20.598
angles (deg): 90.00 90.00 90.00
Space group Pmmm (No. 47)
Inequivalent atoms, fractional coordinates:
Si  0.000  0.075  0.188 (multiplicity 4)
Si  0.000  0.187  0.074 (multiplicity 4)
Si  0.000  0.326  0.423 (multiplicity 4)
Si  0.000  0.422  0.323 (multiplicity 4)
Si  0.146  0.100  0.313 (multiplicity 8)
Si  0.146  0.312  0.098 (multiplicity 8)
Si  0.147  0.210  0.394 (multiplicity 8)
Si  0.147  0.393  0.208 (multiplicity 8)
Si  0.337  0.105  0.428 (multiplicity 8)
Si  0.337  0.427  0.104 (multiplicity 8)
O  0.000  0.000  0.160 (multiplicity 2)
O  0.000  0.073  0.342 (multiplicity 4)
O  0.000  0.128  0.128 (multiplicity 4)
O  0.000  0.157  0.000 (multiplicity 2)
O  0.000  0.185  0.426 (multiplicity 4)
O  0.000  0.329  0.500 (multiplicity 2)
O  0.000  0.342  0.072 (multiplicity 4)
O  0.000  0.400  0.397 (multiplicity 4)
O  0.000  0.425  0.184 (multiplicity 4)
O  0.000  0.500  0.322 (multiplicity 2)
O  0.140  0.083  0.235 (multiplicity 8)
O  0.140  0.234  0.081 (multiplicity 8)
O  0.140  0.289  0.397 (multiplicity 8)
O  0.140  0.395  0.287 (multiplicity 8)
O  0.155  0.180  0.320 (multiplicity 8)
O  0.156  0.318  0.178 (multiplicity 8)
O  0.264  0.071  0.363 (multiplicity 8)
O  0.264  0.363  0.070 (multiplicity 8)
O  0.280  0.180  0.432 (multiplicity 8)
O  0.280  0.431  0.179 (multiplicity 8)
O  0.307  0.073  0.500 (multiplicity 4)
O  0.307  0.500  0.072 (multiplicity 4)
O  0.500  0.104  0.414 (multiplicity 4)
O  0.500  0.414  0.103 (multiplicity 4)

Results
The calculated density comes out at 1.6 g/cm³. For the energy of formation from the pure elements, the calculation gives -302.6 kJ/mol of atoms.

[4]
Mg14NiSn: optimized geometry, PBE-GGA.

a b c (Å): 6.2358 6.2358 10.2954
angles (deg): 90.00 90.00 120.00
Space group P-6m2 (No. 187)
Inequivalent atoms, fractional coordinates:
Mg  0.0000  0.0000  0.2489 (multiplicity 2)
Mg  0.0100  0.5050  0.2335 (multiplicity 6)
Mg  0.3279  0.1639  0.0000 (multiplicity 3)
Mg  0.3337  0.1668  0.5000 (multiplicity 3)
Ni  0.3333  0.6667  0.0000 (multiplicity 1)
Sn  0.3333  0.6667  0.5000 (multiplicity 1)

Results
The calculated density comes out at 2.5 g/cm³. For the energy of formation from the pure elements, the calculation gives -0.9 kJ/mol of atoms.

[5]
MgTi3CuO8: optimized geometry, PBE-GGA.

a b c (Å): 3.788 3.909 10.047
angles (deg): 90.00 90.00 90.00
Space group Pmm2 (No. 25)
Inequivalent atoms, fractional coordinates:
Mg  0.000  0.000  0.000 (multiplicity 1)
Ti  0.000  0.000  0.542 (multiplicity 1)
Ti  0.000  0.500  0.767 (multiplicity 1)
Ti  0.500  0.000  0.304 (multiplicity 1)
Cu  0.500  0.500  0.074 (multiplicity 1)
O  0.000  0.000  0.340 (multiplicity 1)
O  0.000  0.000  0.741 (multiplicity 1)
O  0.000  0.500  0.571 (multiplicity 1)
O  0.000  0.500  0.977 (multiplicity 1)
O  0.500  0.000  0.089 (multiplicity 1)
O  0.500  0.000  0.500 (multiplicity 1)
O  0.500  0.500  0.271 (multiplicity 1)
O  0.500  0.500  0.796 (multiplicity 1)

Results
Its energy above the most stable polymorph in this dataset is 0 kJ/mol of formula units. The calculated density comes out at 4.0 g/cm³. For the energy of formation from the pure elements, the calculation gives -280.4 kJ/mol of atoms.

[6]
Mg14TiZnO16: optimized geometry, PBE-GGA.

a b c (Å): 8.583 8.583 4.259
angles (deg): 90.00 90.00 90.00
Space group P4/mmm (No. 123)
Inequivalent atoms, fractional coordinates:
Mg  0.000  0.250  0.000 (multiplicity 4)
Mg  0.000  0.500  0.500 (multiplicity 2)
Mg  0.246  0.500  0.000 (multiplicity 4)
Mg  0.249  0.249  0.500 (multiplicity 4)
Ti  0.500  0.500  0.500 (multiplicity 1)
Zn  0.000  0.000  0.500 (multiplicity 1)
O  0.000  0.000  0.000 (multiplicity 1)
O  0.000  0.254  0.500 (multiplicity 4)
O  0.000  0.500  0.000 (multiplicity 2)
O  0.245  0.500  0.500 (multiplicity 4)
O  0.250  0.250  0.000 (multiplicity 4)
O  0.500  0.500  0.000 (multiplicity 1)

Results
The calculated density comes out at 3.8 g/cm³. For the energy of formation from the pure elements, the calculation gives -280.3 kJ/mol of atoms.